[1]
Li7V4O11F | PBE with a Hubbard U | optimized geometry

Cell lengths 5.058, 5.135, 8.639 Å; angles 77.82, 86.88, 77.48 degrees
Fractional positions:
Li (0.000, 0.000, 0.000)
Li (0.024, 0.691, 0.335)
Li (0.261, 0.747, 0.756)
Li (0.478, 0.496, 0.501)
Li (0.516, 0.165, 0.839)
Li (0.745, 0.564, 0.927)
Li (0.777, 0.251, 0.255)
V (0.030, 0.320, 0.682)
V (0.261, 0.417, 0.091)
V (0.517, 0.837, 0.169)
V (0.719, 0.896, 0.583)
O (0.092, 0.648, 0.563)
O (0.131, 0.374, 0.884)
O (0.172, 0.070, 0.195)
O (0.378, 0.759, 0.982)
O (0.381, 0.116, 0.638)
O (0.384, 0.507, 0.271)
O (0.611, 0.192, 0.055)
O (0.648, 0.877, 0.383)
O (0.650, 0.564, 0.703)
O (0.872, 0.638, 0.133)
O (0.886, 0.004, 0.760)
F (0.855, 0.267, 0.472)

Values from the calculation:
Its raw total energy is -6.46 eV/atom. As for the space group: P1. As for the formation energy: -2.49 eV/atom. For the total moment, the calculation gives 4.00 μB per cell.


[2]
Li5Co2Cu3O10 | PBE with a Hubbard U | optimized geometry

Cell lengths 4.992, 5.302, 7.529 Å; angles 104.64, 102.99, 104.50 degrees
Fractional positions:
Li (0.000, 0.000, 0.000)
Li (0.104, 0.213, 0.711)
Li (0.294, 0.604, 0.103)
Li (0.706, 0.396, 0.897)
Li (0.896, 0.787, 0.289)
Co (0.397, 0.827, 0.808)
Co (0.603, 0.173, 0.192)
Cu (0.196, 0.391, 0.400)
Cu (0.500, 0.000, 0.500)
Cu (0.804, 0.609, 0.600)
O (0.058, 0.621, 0.836)
O (0.156, 0.831, 0.571)
O (0.290, 0.981, 0.253)
O (0.368, 0.163, 0.951)
O (0.442, 0.480, 0.664)
O (0.558, 0.520, 0.336)
O (0.632, 0.837, 0.049)
O (0.710, 0.019, 0.747)
O (0.844, 0.169, 0.429)
O (0.942, 0.379, 0.164)

Values from the calculation:
Its raw total energy is -5.28 eV/atom. As for the space group: P-1. As for the formation energy: -1.51 eV/atom. For the total moment, the calculation gives 2.00 μB per cell.


[3]
Sm2MgCr2O8 | PBE with a Hubbard U | optimized geometry

Cell lengths 6.108, 6.108, 6.473 Å; angles 120.15, 120.15, 74.70 degrees
Fractional positions:
Sm (0.231, 0.231, 0.099)
Sm (0.769, 0.769, 0.901)
Mg (0.213, 0.787, 0.500)
Cr (0.236, 0.299, 0.638)
Cr (0.701, 0.764, 0.362)
O (0.045, 0.435, 0.806)
O (0.094, 0.052, 0.295)
O (0.390, 0.504, 0.632)
O (0.424, 0.088, 0.801)
O (0.496, 0.610, 0.368)
O (0.565, 0.955, 0.194)
O (0.912, 0.576, 0.199)
O (0.948, 0.906, 0.705)

Values from the calculation:
Its raw total energy is -7.48 eV/atom. As for the space group: C2. As for the formation energy: -2.83 eV/atom. For the total moment, the calculation gives 4.00 μB per cell.


[4]
Li9Mn2Co5O16 | PBE with a Hubbard U | optimized geometry

Cell lengths 7.786, 7.786, 12.902 Å; angles 92.29, 92.29, 21.61 degrees
Fractional positions:
Li (0.000, 0.000, 0.000)
Li (0.062, 0.062, 0.689)
Li (0.182, 0.182, 0.059)
Li (0.313, 0.313, 0.438)
Li (0.437, 0.437, 0.821)
Li (0.563, 0.563, 0.179)
Li (0.687, 0.687, 0.562)
Li (0.818, 0.818, 0.941)
Li (0.938, 0.938, 0.311)
Mn (0.379, 0.379, 0.119)
Mn (0.621, 0.621, 0.881)
Co (0.125, 0.125, 0.374)
Co (0.250, 0.250, 0.751)
Co (0.500, 0.500, 0.500)
Co (0.750, 0.750, 0.249)
Co (0.875, 0.875, 0.626)
O (0.041, 0.041, 0.846)
O (0.088, 0.088, 0.527)
O (0.163, 0.163, 0.222)
O (0.208, 0.208, 0.900)
O (0.286, 0.286, 0.600)
O (0.339, 0.339, 0.271)
O (0.402, 0.402, 0.981)
O (0.462, 0.462, 0.652)
O (0.538, 0.538, 0.348)
O (0.598, 0.598, 0.019)
O (0.661, 0.661, 0.729)
O (0.714, 0.714, 0.400)
O (0.792, 0.792, 0.100)
O (0.837, 0.837, 0.778)
O (0.912, 0.912, 0.473)
O (0.959, 0.959, 0.154)

Values from the calculation:
Its raw total energy is -5.84 eV/atom. As for the space group: C2/m. As for the formation energy: -1.85 eV/atom. For the total moment, the calculation gives 6.00 μB per cell.


[5]
LiLa2TiCrO6 | PBE with a Hubbard U | optimized geometry

Cell lengths 5.557, 5.741, 6.031 Å; angles 64.38, 88.97, 63.44 degrees
Fractional positions:
Li (0.000, 0.000, 0.000)
La (0.230, 0.548, 0.510)
La (0.671, 0.628, 0.943)
Ti (0.881, 0.191, 0.533)
Cr (0.405, 0.156, 0.102)
O (0.104, 0.076, 0.281)
O (0.255, 0.093, 0.821)
O (0.535, 0.312, 0.298)
O (0.638, 0.296, 0.825)
O (0.807, 0.603, 0.343)
O (0.999, 0.778, 0.774)

Values from the calculation:
Its raw total energy is -7.81 eV/atom. As for the space group: P1. As for the formation energy: -3.00 eV/atom. For the total moment, the calculation gives 3.00 μB per cell.


[6]
NaLaMn4O12 | PBE with a Hubbard U | optimized geometry

Cell lengths 7.705, 5.344, 5.344 Å; angles 90.12, 90.00, 90.00 degrees
Fractional positions:
Na (0.000, 0.000, 0.000)
La (0.500, 0.482, 0.482)
Mn (0.239, 0.490, 0.991)
Mn (0.239, 0.991, 0.490)
Mn (0.761, 0.490, 0.991)
Mn (0.761, 0.991, 0.490)
O (0.000, 0.037, 0.440)
O (0.000, 0.440, 0.037)
O (0.217, 0.780, 0.780)
O (0.258, 0.281, 0.706)
O (0.258, 0.706, 0.281)
O (0.292, 0.218, 0.218)
O (0.500, 0.525, 0.966)
O (0.500, 0.966, 0.525)
O (0.708, 0.218, 0.218)
O (0.742, 0.281, 0.706)
O (0.742, 0.706, 0.281)
O (0.783, 0.780, 0.780)

Values from the calculation:
Its raw total energy is -6.54 eV/atom. As for the space group: Amm2. As for the formation energy: -1.69 eV/atom. For the total moment, the calculation gives 8.00 μB per cell.


[7]
Li9Mn2Co5O16 | PBE with a Hubbard U | optimized geometry

Cell lengths 19.523, 19.523, 5.173 Å; angles 91.83, 91.83, 8.46 degrees
Fractional positions:
Li (0.000, 0.000, 0.000)
Li (0.129, 0.129, 0.380)
Li (0.254, 0.254, 0.762)
Li (0.315, 0.315, 0.439)
Li (0.376, 0.376, 0.116)
Li (0.501, 0.501, 0.501)
Li (0.629, 0.629, 0.878)
Li (0.756, 0.756, 0.271)
Li (0.874, 0.874, 0.605)
Mn (0.565, 0.565, 0.189)
Mn (0.815, 0.815, 0.938)
Co (0.065, 0.065, 0.689)
Co (0.190, 0.190, 0.067)
Co (0.439, 0.439, 0.811)
Co (0.690, 0.690, 0.566)
Co (0.939, 0.939, 0.312)
O (0.036, 0.036, 0.321)
O (0.093, 0.093, 0.056)
O (0.160, 0.160, 0.720)
O (0.219, 0.219, 0.410)
O (0.287, 0.287, 0.081)
O (0.342, 0.342, 0.796)
O (0.411, 0.411, 0.463)
O (0.469, 0.469, 0.160)
O (0.537, 0.537, 0.821)
O (0.592, 0.592, 0.558)
O (0.660, 0.660, 0.224)
O (0.718, 0.718, 0.912)
O (0.786, 0.786, 0.629)
O (0.844, 0.844, 0.249)
O (0.912, 0.912, 0.961)
O (0.969, 0.969, 0.660)

Values from the calculation:
Its raw total energy is -5.68 eV/atom. As for the space group: Cm. As for the formation energy: -1.69 eV/atom. For the total moment, the calculation gives 0.02 μB per cell.


[8]
LiNiP3O9 | PBE with a Hubbard U | optimized geometry

Cell lengths 6.495, 6.832, 7.302 Å; angles 101.47, 92.80, 90.63 degrees
Fractional positions:
Li (0.139, 0.078, 0.325)
Li (0.861, 0.922, 0.675)
Ni (0.149, 0.587, 0.361)
Ni (0.851, 0.413, 0.639)
P (0.141, 0.716, 0.950)
P (0.339, 0.386, 0.716)
P (0.350, 0.939, 0.699)
P (0.650, 0.061, 0.301)
P (0.661, 0.614, 0.284)
P (0.859, 0.284, 0.050)
O (0.052, 0.309, 0.178)
O (0.120, 0.772, 0.159)
O (0.165, 0.403, 0.570)
O (0.175, 0.865, 0.555)
O (0.272, 0.516, 0.913)
O (0.295, 0.879, 0.897)
O (0.323, 0.175, 0.772)
O (0.434, 0.110, 0.342)
O (0.449, 0.556, 0.320)
O (0.551, 0.444, 0.680)
O (0.566, 0.890, 0.658)
O (0.677, 0.825, 0.228)
O (0.705, 0.121, 0.103)
O (0.728, 0.484, 0.087)
O (0.825, 0.135, 0.445)
O (0.835, 0.597, 0.430)
O (0.880, 0.228, 0.841)
O (0.948, 0.691, 0.822)

Values from the calculation:
Its raw total energy is -6.74 eV/atom. As for the space group: P-1. As for the formation energy: -2.47 eV/atom. For the total moment, the calculation gives 4.00 μB per cell.


[9]
MgCoNi2O7 | PBE with a Hubbard U | optimized geometry

Cell lengths 7.274, 13.132, 10.604 Å; angles 90.00, 110.44, 90.00 degrees
Fractional positions:
Mg (0.064, 0.015, 0.332)
Mg (0.064, 0.485, 0.832)
Mg (0.298, 0.642, 0.404)
Mg (0.298, 0.858, 0.904)
Mg (0.702, 0.142, 0.096)
Mg (0.702, 0.358, 0.596)
Mg (0.936, 0.515, 0.168)
Mg (0.936, 0.985, 0.668)
Co (0.036, 0.235, 0.767)
Co (0.036, 0.265, 0.267)
Co (0.393, 0.188, 0.456)
Co (0.393, 0.312, 0.956)
Co (0.607, 0.688, 0.044)
Co (0.607, 0.812, 0.544)
Co (0.964, 0.735, 0.733)
Co (0.964, 0.765, 0.233)
Ni (0.122, 0.684, 0.044)
Ni (0.122, 0.816, 0.544)
Ni (0.182, 0.126, 0.058)
Ni (0.182, 0.374, 0.558)
Ni (0.409, 0.509, 0.179)
Ni (0.409, 0.991, 0.679)
Ni (0.472, 0.714, 0.746)
Ni (0.472, 0.786, 0.246)
Ni (0.528, 0.214, 0.754)
Ni (0.528, 0.286, 0.254)
Ni (0.591, 0.009, 0.321)
Ni (0.591, 0.491, 0.821)
Ni (0.818, 0.626, 0.442)
Ni (0.818, 0.874, 0.942)
Ni (0.878, 0.184, 0.456)
Ni (0.878, 0.316, 0.956)
O (0.001, 0.153, 0.144)
O (0.001, 0.347, 0.644)
O (0.026, 0.644, 0.866)
O (0.026, 0.856, 0.366)
O (0.045, 0.121, 0.873)
O (0.045, 0.379, 0.373)
O (0.113, 0.166, 0.414)
O (0.113, 0.334, 0.914)
O (0.201, 0.540, 0.034)
O (0.201, 0.960, 0.534)
O (0.209, 0.735, 0.226)
O (0.209, 0.765, 0.726)
O (0.239, 0.525, 0.270)
O (0.239, 0.975, 0.770)
O (0.281, 0.518, 0.550)
O (0.281, 0.982, 0.050)
O (0.295, 0.228, 0.804)
O (0.295, 0.272, 0.304)
O (0.363, 0.739, 0.047)
O (0.363, 0.761, 0.547)
O (0.368, 0.075, 0.349)
O (0.368, 0.425, 0.849)
O (0.417, 0.558, 0.659)
O (0.417, 0.942, 0.159)
O (0.424, 0.195, 0.078)
O (0.424, 0.305, 0.578)
O (0.472, 0.117, 0.607)
O (0.472, 0.383, 0.107)
O (0.528, 0.617, 0.893)
O (0.528, 0.883, 0.393)
O (0.576, 0.695, 0.422)
O (0.576, 0.805, 0.922)
O (0.583, 0.058, 0.841)
O (0.583, 0.442, 0.341)
O (0.632, 0.575, 0.151)
O (0.632, 0.925, 0.651)
O (0.637, 0.239, 0.453)
O (0.637, 0.261, 0.953)
O (0.705, 0.728, 0.696)
O (0.705, 0.772, 0.196)
O (0.719, 0.018, 0.950)
O (0.719, 0.482, 0.450)
O (0.761, 0.025, 0.230)
O (0.761, 0.475, 0.730)
O (0.791, 0.235, 0.274)
O (0.791, 0.265, 0.774)
O (0.799, 0.040, 0.466)
O (0.799, 0.460, 0.966)
O (0.887, 0.666, 0.086)
O (0.887, 0.834, 0.586)
O (0.955, 0.621, 0.627)
O (0.955, 0.879, 0.127)
O (0.974, 0.144, 0.634)
O (0.974, 0.356, 0.134)
O (0.999, 0.653, 0.356)
O (0.999, 0.847, 0.856)

Values from the calculation:
Its raw total energy is -5.03 eV/atom. As for the space group: P2_1/c. As for the formation energy: -0.75 eV/atom. For the total moment, the calculation gives 56.00 μB per cell.


[10]
Li2MnH4S2O10 | PBE with a Hubbard U | optimized geometry

Cell lengths 5.504, 13.073, 5.485 Å; angles 90.00, 100.79, 90.00 degrees
Fractional positions:
Li (0.097, 0.113, 0.270)
Li (0.097, 0.387, 0.770)
Li (0.903, 0.613, 0.230)
Li (0.903, 0.887, 0.730)
Mn (0.500, 0.000, 0.000)
Mn (0.500, 0.500, 0.500)
H (0.172, 0.157, 0.832)
H (0.172, 0.343, 0.332)
H (0.392, 0.207, 0.022)
H (0.392, 0.293, 0.522)
H (0.608, 0.707, 0.478)
H (0.608, 0.793, 0.978)
H (0.828, 0.657, 0.668)
H (0.828, 0.843, 0.168)
S (0.259, 0.616, 0.947)
S (0.259, 0.884, 0.447)
S (0.741, 0.116, 0.553)
S (0.741, 0.384, 0.053)
O (0.043, 0.687, 0.924)
O (0.043, 0.813, 0.424)
O (0.228, 0.550, 0.719)
O (0.228, 0.950, 0.219)
O (0.244, 0.549, 0.168)
O (0.244, 0.951, 0.668)
O (0.288, 0.144, 0.993)
O (0.288, 0.356, 0.493)
O (0.498, 0.670, 0.983)
O (0.498, 0.830, 0.483)
O (0.502, 0.170, 0.517)
O (0.502, 0.330, 0.017)
O (0.712, 0.644, 0.507)
O (0.712, 0.856, 0.007)
O (0.756, 0.049, 0.332)
O (0.756, 0.451, 0.832)
O (0.772, 0.050, 0.781)
O (0.772, 0.450, 0.281)
O (0.957, 0.187, 0.576)
O (0.957, 0.313, 0.076)

Values from the calculation:
Its raw total energy is -5.86 eV/atom. As for the space group: P2_1/c. As for the formation energy: -1.87 eV/atom. For the total moment, the calculation gives 10.00 μB per cell.


[11]
Li4TiCr2Ni3P6O24 | PBE with a Hubbard U | optimized geometry

Cell lengths 8.528, 8.552, 8.730 Å; angles 61.21, 61.17, 61.75 degrees
Fractional positions:
Li (0.000, 0.000, 0.000)
Li (0.065, 0.515, 0.899)
Li (0.511, 0.850, 0.106)
Li (0.718, 0.293, 0.443)
Ti (0.511, 0.303, 0.895)
Cr (0.369, 0.145, 0.733)
Cr (0.860, 0.642, 0.258)
Ni (0.007, 0.797, 0.389)
Ni (0.214, 0.002, 0.602)
Ni (0.712, 0.502, 0.097)
P (0.112, 0.193, 0.198)
P (0.316, 0.703, 0.997)
P (0.401, 0.604, 0.502)
P (0.611, 0.100, 0.293)
P (0.815, 0.910, 0.791)
P (0.921, 0.405, 0.700)
O (0.068, 0.043, 0.190)
O (0.108, 0.241, 0.682)
O (0.117, 0.704, 0.146)
O (0.177, 0.128, 0.356)
O (0.250, 0.627, 0.442)
O (0.259, 0.260, 0.998)
O (0.288, 0.900, 0.846)
O (0.350, 0.741, 0.592)
O (0.380, 0.540, 0.924)
O (0.454, 0.390, 0.642)
O (0.460, 0.062, 0.481)
O (0.463, 0.674, 0.066)
O (0.541, 0.165, 0.126)
O (0.596, 0.606, 0.334)
O (0.602, 0.053, 0.840)
O (0.671, 0.256, 0.267)
O (0.749, 0.336, 0.762)
O (0.782, 0.919, 0.269)
O (0.803, 0.734, 0.971)
O (0.852, 0.890, 0.612)
O (0.893, 0.460, 0.856)
O (0.915, 0.566, 0.518)
O (0.940, 0.383, 0.203)
O (0.956, 0.977, 0.785)

Values from the calculation:
Its raw total energy is -6.85 eV/atom. As for the space group: P1. As for the formation energy: -2.47 eV/atom. For the total moment, the calculation gives 14.00 μB per cell.